Entry 1:
This record from the Materials Project describes a geometry-optimized K2PbS2O8 structure. The functional is GGA-PBE.

Geometry as CIF:
```
data_K2PbS2O8
_chemical_formula_sum 'K6 Pb3 S6 O24'
_cell_length_a 5.5934
_cell_length_b 5.5934
_cell_length_c 21.2514
_cell_angle_alpha 90.00
_cell_angle_beta 90.00
_cell_angle_gamma 120.00
_space_group_name_H-M_alt 'R -3 m'
_space_group_IT_number 166
_space_group_name_Hall '-R 3 2"'
loop_
_atom_site_label
_atom_site_fract_x
_atom_site_fract_y
_atom_site_fract_z
_atom_site_occupancy
K1 0.0000 0.0000 0.2037 1
Pb1 0.0000 0.0000 0.0000 1
S1 0.0000 0.0000 0.4009 1
O1 0.0000 0.0000 0.3313 1
O2 0.0417 0.5208 0.2415 1
```

Values from the calculation:
**Relative energy among the computed polymorphs**: 0 meV per atom
**Energy relative to the elements**: -2.121 eV/atom

***

Entry 2:
This record from the Materials Project describes a geometry-optimized MoW2Se2S4 structure. The functional is GGA-PBE.

Geometry as CIF:
```
data_MoW2Se2S4
_chemical_formula_sum 'Mo1 W2 Se2 S4'
_cell_length_a 3.2311
_cell_length_b 3.2311
_cell_length_c 29.6721
_cell_angle_alpha 90.00
_cell_angle_beta 90.00
_cell_angle_gamma 120.00
_space_group_name_H-M_alt 'P 3 m 1'
_space_group_IT_number 156
loop_
_space_group_symop_operation_xyz
'x,y,z'
'-y,x-y,z'
'-x+y,-x,z'
'-y,-x,z'
'-x+y,y,z'
'x,x-y,z'
loop_
_atom_site_label
_atom_site_fract_x
_atom_site_fract_y
_atom_site_fract_z
_atom_site_occupancy
Mo1 0.0000 0.0000 0.0000 1
W1 0.0000 0.0000 0.5373 1
W2 0.3333 0.6667 0.7686 1
Se1 0.3333 0.6667 0.0575 1
Se2 0.3333 0.6667 0.9425 1
S1 0.0000 0.0000 0.7162 1
S2 0.0000 0.0000 0.8211 1
S3 0.3333 0.6667 0.4848 1
S4 0.3333 0.6667 0.5898 1
```

Values from the calculation:
**Relative energy among the computed polymorphs**: 0 meV per atom
**Energy relative to the elements**: -0.981 eV/atom

***

| no. | total magnetic moment (μB per formula unit) |
| --- | --- |
| 1 | 0.000 |
| 2 | 0.000 |